(1)
First-principles (GGA+U) data for a relaxed structure of FeOF, as listed in Materials Project.

```
FeOF
1.0
3.095 0.000 0.000
0.000 14.227 0.000
0.000 0.021 14.228
O F Fe
18 18 18
Direct
0.000 0.236 0.894
0.500 0.068 0.934
0.500 0.603 0.725
0.000 0.230 0.233
0.500 0.733 0.600
0.000 0.896 0.905
0.000 0.565 0.557
0.500 0.600 0.067
0.000 0.565 0.236
0.500 0.927 0.395
0.500 0.395 0.603
0.000 0.566 0.898
0.500 0.269 0.400
0.000 0.229 0.569
0.500 0.268 0.065
0.000 0.903 0.562
0.500 0.938 0.734
0.000 0.768 0.097
0.000 0.896 0.226
0.500 0.600 0.398
0.500 0.731 0.933
0.500 0.400 0.938
0.000 0.098 0.105
0.000 0.771 0.773
0.000 0.431 0.771
0.500 0.941 0.070
0.500 0.399 0.266
0.000 0.436 0.429
0.000 0.100 0.434
0.500 0.059 0.270
0.000 0.434 0.105
0.500 0.736 0.268
0.000 0.762 0.429
0.500 0.267 0.732
0.500 0.067 0.600
0.000 0.106 0.764
0.500 0.825 0.150
0.500 0.172 0.844
0.500 0.499 0.515
0.500 0.512 0.169
0.000 0.987 0.344
0.500 0.519 0.831
0.000 0.335 0.657
0.500 0.838 0.512
0.500 0.181 0.505
0.500 0.180 0.169
0.000 0.663 0.657
0.500 0.846 0.837
0.000 0.006 0.985
0.000 0.322 0.001
0.000 0.655 0.003
0.000 0.320 0.336
0.000 0.987 0.668
0.000 0.660 0.330
```

- Energy with MP2020 corrections: -385.57 eV for the cell shown
- Crystal system: monoclinic
- Calculated formation energy: -2.029 eV per atom

(2)
First-principles (GGA+U) data for a relaxed structure of Ta3ZnFe3O12F2, as listed in Materials Project.

```
Ta3ZnFe3O12F2
1.0
3.166 0.000 0.000
0.000 4.768 0.077
0.000 0.297 19.136
O F Zn Ta Fe
12 2 1 3 3
Direct
0.000 0.750 0.681
0.500 0.184 0.199
0.000 0.327 0.827
0.500 0.186 0.948
0.500 0.232 0.702
0.000 0.660 0.164
0.000 0.761 0.442
0.000 0.684 0.921
0.500 0.766 0.044
0.000 0.273 0.074
0.500 0.283 0.388
0.500 0.786 0.300
0.500 0.530 0.555
0.500 0.832 0.803
0.000 0.960 0.249
0.500 0.653 0.395
0.500 0.459 0.128
0.500 0.478 0.883
0.000 0.065 0.744
0.500 0.582 0.647
0.000 0.965 0.009
```

- Energy with MP2020 corrections: -177.95 eV for the cell shown
- Crystal system: monoclinic
- Calculated formation energy: -2.500 eV per atom

(3)
First-principles (GGA+U) data for a relaxed structure of Ca3Mn2O7, as listed in Materials Project.

```
Ca3Mn2O7
1.0
2.720 -9.637 0.000
2.720 9.637 0.000
0.000 0.000 5.336
O Mn Ca
14 4 6
Direct
0.832 0.832 0.750
0.116 0.884 0.000
0.582 0.418 0.500
0.582 0.418 0.000
0.884 0.116 0.000
0.507 0.114 0.250
0.418 0.582 0.000
0.116 0.884 0.500
0.884 0.116 0.500
0.886 0.493 0.750
0.418 0.582 0.500
0.168 0.168 0.250
0.493 0.886 0.750
0.114 0.507 0.250
0.653 0.851 0.750
0.347 0.149 0.250
0.851 0.653 0.750
0.149 0.347 0.250
0.741 0.741 0.250
0.077 0.449 0.750
0.923 0.551 0.250
0.259 0.259 0.750
0.551 0.923 0.250
0.449 0.077 0.750
```

- Energy with MP2020 corrections: -181.26 eV for the cell shown
- Crystal system: orthorhombic
- Calculated formation energy: -2.638 eV per atom
- Distance to the lowest polymorph of the same formula: 10 meV/atom

(4)
First-principles (GGA+U) data for a relaxed structure of Sr4Ca4Mn7FeO20, as listed in Materials Project.

```
Sr4Ca4Mn7FeO20
1.0
-4.787 8.874 4.377
-9.418 -5.762 1.341
11.927 -6.100 11.566
O Ca Mn Sr Fe
80 16 28 16 4
Direct
0.072 0.583 0.638
0.884 0.382 0.014
0.622 0.623 0.491
0.202 0.711 0.870
0.836 0.294 0.138
0.433 0.913 0.361
0.378 0.879 0.504
0.373 0.121 0.993
0.130 0.376 0.504
0.878 0.123 0.997
0.428 0.578 0.248
0.088 0.091 0.134
0.675 0.425 0.239
0.128 0.118 0.493
0.130 0.122 0.994
0.824 0.805 0.637
0.640 0.383 0.016
0.427 0.059 0.240
0.633 0.878 0.013
0.191 0.699 0.361
0.681 0.924 0.239
0.875 0.617 0.990
0.574 0.079 0.634
0.624 0.122 0.494
0.876 0.622 0.492
0.329 0.300 0.639
0.833 0.784 0.132
0.946 0.414 0.871
0.691 0.690 0.360
0.929 0.576 0.249
0.579 0.094 0.132
0.320 0.803 0.638
0.685 0.431 0.761
0.121 0.624 0.490
0.928 0.062 0.238
0.175 0.919 0.247
0.447 0.915 0.869
0.692 0.940 0.753
0.371 0.116 0.492
0.881 0.874 0.501
0.078 0.595 0.132
0.432 0.418 0.359
0.879 0.377 0.503
0.428 0.066 0.744
0.578 0.597 0.135
0.182 0.191 0.359
0.630 0.127 0.997
0.085 0.076 0.638
0.576 0.581 0.641
0.187 0.928 0.761
0.888 0.882 0.014
0.388 0.386 0.016
0.683 0.186 0.358
0.190 0.439 0.752
0.132 0.877 0.501
0.686 0.207 0.865
0.877 0.121 0.496
0.445 0.415 0.868
0.137 0.879 0.012
0.379 0.377 0.503
0.629 0.376 0.502
0.699 0.705 0.870
0.376 0.624 0.492
0.337 0.293 0.138
0.126 0.628 0.993
0.438 0.580 0.760
0.176 0.428 0.240
0.942 0.066 0.751
0.139 0.380 0.016
0.938 0.914 0.359
0.933 0.417 0.360
0.378 0.626 0.994
0.938 0.579 0.762
0.327 0.788 0.133
0.826 0.313 0.643
0.383 0.883 0.013
0.948 0.912 0.870
0.626 0.872 0.499
0.193 0.204 0.865
0.624 0.619 0.991
0.804 0.063 0.105
0.951 0.705 0.392
0.702 0.440 0.898
0.449 0.704 0.393
0.305 0.065 0.106
0.055 0.292 0.107
0.555 0.792 0.105
0.307 0.058 0.603
0.952 0.708 0.898
0.554 0.293 0.106
0.807 0.563 0.108
0.056 0.793 0.106
0.202 0.939 0.897
0.451 0.707 0.897
0.201 0.937 0.392
0.307 0.564 0.108
0.253 0.749 0.497
0.867 0.901 0.753
0.003 0.500 0.498
0.108 0.600 0.246
0.360 0.903 0.753
0.608 0.099 0.750
0.753 0.748 0.496
0.116 0.094 0.753
0.107 0.089 0.245
0.753 0.249 0.498
0.353 0.898 0.246
0.606 0.594 0.246
0.502 0.499 0.497
0.502 0.998 0.498
0.605 0.090 0.243
0.507 0.502 0.003
0.857 0.408 0.247
0.860 0.895 0.243
0.253 0.248 0.498
0.366 0.406 0.754
0.257 0.752 0.003
0.758 0.254 0.005
0.114 0.604 0.755
0.613 0.598 0.757
0.862 0.411 0.758
0.005 0.998 0.498
0.355 0.408 0.246
0.258 0.252 0.003
0.309 0.560 0.611
0.200 0.443 0.893
0.447 0.197 0.387
0.701 0.940 0.893
0.810 0.559 0.611
0.196 0.440 0.387
0.559 0.801 0.609
0.949 0.200 0.892
0.450 0.201 0.890
0.698 0.938 0.386
0.697 0.440 0.387
0.060 0.802 0.610
0.060 0.300 0.610
0.559 0.302 0.611
0.807 0.057 0.608
0.948 0.196 0.387
0.757 0.749 0.002
0.506 0.001 0.003
0.007 0.502 0.004
0.009 0.001 0.004
```

- Energy with MP2020 corrections: -1108.68 eV for the cell shown
- Crystal system: triclinic
- Calculated formation energy: -2.523 eV per atom

(5)
First-principles (GGA+U) data for a relaxed structure of CsRb2CoF6, as listed in Materials Project.

```
CsRb2CoF6
1.0
6.573 0.000 0.000
3.287 5.692 0.000
3.287 1.897 5.367
F Rb Cs Co
6 2 1 1
Direct
0.798 0.202 0.202
0.202 0.798 0.798
0.798 0.202 0.798
0.798 0.798 0.202
0.202 0.798 0.202
0.202 0.202 0.798
0.250 0.250 0.250
0.750 0.750 0.750
0.500 0.500 0.500
0.000 0.000 0.000
```

- Energy with MP2020 corrections: -48.00 eV for the cell shown
- Crystal system: cubic
- Calculated formation energy: -2.655 eV per atom

(6)
First-principles (GGA+U) data for a relaxed structure of V3Bi8O22, as listed in Materials Project.

```
V3Bi8O22
1.0
5.591 -0.536 0.178
-2.633 8.124 0.080
0.223 0.195 10.978
O Bi V
22 8 3
Direct
0.801 0.872 0.315
0.190 0.885 0.120
0.278 0.782 0.618
0.057 0.549 0.382
0.514 0.504 0.364
0.486 0.496 0.636
0.461 0.494 0.883
0.647 0.857 0.056
0.276 0.910 0.366
0.810 0.115 0.880
0.029 0.513 0.133
0.943 0.451 0.618
0.724 0.090 0.634
0.539 0.506 0.117
0.722 0.218 0.382
0.199 0.128 0.685
0.971 0.487 0.867
0.232 0.198 0.240
0.353 0.143 0.944
0.311 0.832 0.888
0.689 0.168 0.112
0.768 0.802 0.760
0.134 0.316 0.024
0.404 0.686 0.246
0.914 0.679 0.523
0.333 0.638 0.755
0.866 0.684 0.976
0.596 0.314 0.754
0.667 0.362 0.245
0.086 0.321 0.477
0.117 0.970 0.261
0.883 0.030 0.739
0.500 0.000 0.000
```

- Energy with MP2020 corrections: -224.19 eV for the cell shown
- Crystal system: triclinic
- Calculated formation energy: -1.726 eV per atom